# 1
{"formula": "SiO2", "functional": "r2SCAN", "state": "relaxed", "lattice": [[13.081, 0.000, 0.000], [0.000, 21.589, 0.000], [0.000, 0.000, 5.242]], "species": ["O", "O", "O", "O", "O", "O", "O", "O", "O", "O", "O", "O", "O", "O", "O", "O", "O", "O", "O", "O", "O", "O", "O", "O", "O", "O", "O", "O", "O", "O", "O", "O", "O", "O", "O", "O", "O", "O", "O", "O", "O", "O", "O", "O", "O", "O", "O", "O", "Si", "Si", "Si", "Si", "Si", "Si", "Si", "Si", "Si", "Si", "Si", "Si", "Si", "Si", "Si", "Si", "Si", "Si", "Si", "Si", "Si", "Si", "Si", "Si"], "fractional_positions": [[0.647, 0.000, 0.000], [0.868, 0.701, 0.500], [0.368, 0.799, 0.000], [0.500, 0.941, 0.250], [0.353, 0.000, 0.500], [0.632, 0.799, 0.000], [0.500, 0.730, 0.750], [0.312, 0.102, 0.750], [0.132, 0.299, 0.000], [0.147, 0.500, 0.000], [0.132, 0.299, 0.500], [0.812, 0.398, 0.250], [0.132, 0.701, 0.500], [0.868, 0.299, 0.500], [0.000, 0.441, 0.250], [0.500, 0.270, 0.250], [0.632, 0.799, 0.500], [0.188, 0.602, 0.750], [0.308, 0.698, 0.750], [0.647, 0.000, 0.500], [0.868, 0.299, 0.000], [0.688, 0.898, 0.250], [0.000, 0.559, 0.750], [0.312, 0.898, 0.250], [0.692, 0.302, 0.250], [0.192, 0.198, 0.750], [0.868, 0.701, 0.000], [0.188, 0.398, 0.250], [0.368, 0.799, 0.500], [0.353, 0.000, 0.000], [0.632, 0.201, 0.500], [0.368, 0.201, 0.500], [0.000, 0.770, 0.250], [0.808, 0.802, 0.250], [0.500, 0.059, 0.750], [0.192, 0.802, 0.250], [0.808, 0.198, 0.750], [0.147, 0.500, 0.500], [0.632, 0.201, 0.000], [0.692, 0.698, 0.750], [0.853, 0.500, 0.500], [0.308, 0.302, 0.250], [0.812, 0.602, 0.750], [0.688, 0.102, 0.750], [0.132, 0.701, 0.000], [0.853, 0.500, 0.000], [0.368, 0.201, 0.000], [0.000, 0.230, 0.750], [0.380, 0.960, 0.250], [0.880, 0.460, 0.250], [0.385, 0.244, 0.250], [0.385, 0.756, 0.750], [0.885, 0.256, 0.750], [0.120, 0.540, 0.750], [0.310, 0.176, 0.750], [0.615, 0.756, 0.750], [0.690, 0.824, 0.250], [0.615, 0.244, 0.250], [0.880, 0.540, 0.750], [0.120, 0.460, 0.250], [0.380, 0.040, 0.750], [0.885, 0.744, 0.250], [0.115, 0.256, 0.750], [0.810, 0.676, 0.750], [0.115, 0.744, 0.250], [0.620, 0.040, 0.750], [0.310, 0.824, 0.250], [0.810, 0.324, 0.250], [0.190, 0.676, 0.750], [0.190, 0.324, 0.250], [0.620, 0.960, 0.250], [0.690, 0.176, 0.750]], "density_g_cm3": 1.62, "magnetic_moment_mub_per_fu": 0.0, "energy_ev_per_atom": -9.9245}

# 2
{"formula": "Lu2MgGeO6", "functional": "r2SCAN", "state": "relaxed", "lattice": [[2.432, -4.557, -1.110], [-2.845, -4.303, -1.142], [-0.061, -1.894, -4.932]], "species": ["Mg", "Ge", "O", "O", "O", "O", "O", "O", "Lu", "Lu"], "fractional_positions": [[0.000, 0.000, 0.000], [0.500, 0.500, 0.500], [0.256, 0.744, 0.744], [0.744, 0.256, 0.256], [0.744, 0.256, 0.744], [0.744, 0.744, 0.256], [0.256, 0.256, 0.744], [0.256, 0.744, 0.256], [0.250, 0.250, 0.250], [0.750, 0.750, 0.750]], "density_g_cm3": 8.64, "magnetic_moment_mub_per_fu": 0.0, "energy_ev_per_atom": -15.8407}

# 3
{"formula": "SiPd3", "functional": "r2SCAN", "state": "relaxed", "lattice": [[5.292, 0.000, 0.000], [0.000, 5.823, 0.000], [0.000, 0.000, 7.556]], "species": ["Pd", "Pd", "Pd", "Pd", "Pd", "Pd", "Pd", "Pd", "Pd", "Pd", "Pd", "Pd", "Si", "Si", "Si", "Si"], "fractional_positions": [[0.823, 0.322, 0.552], [0.177, 0.678, 0.448], [0.097, 0.995, 0.750], [0.597, 0.505, 0.250], [0.823, 0.322, 0.948], [0.677, 0.822, 0.552], [0.903, 0.005, 0.250], [0.323, 0.178, 0.052], [0.403, 0.495, 0.750], [0.677, 0.822, 0.948], [0.323, 0.178, 0.448], [0.177, 0.678, 0.052], [0.970, 0.606, 0.750], [0.030, 0.394, 0.250], [0.530, 0.106, 0.750], [0.470, 0.894, 0.250]], "density_g_cm3": 9.91, "magnetic_moment_mub_per_fu": 0.0, "energy_ev_per_atom": -20.0151}

# 4
{"formula": "TbNi4P2", "functional": "r2SCAN", "state": "relaxed", "lattice": [[3.559, 0.000, 0.000], [0.000, 7.083, 0.000], [0.000, 0.000, 7.083]], "species": ["P", "P", "P", "P", "Tb", "Tb", "Ni", "Ni", "Ni", "Ni", "Ni", "Ni", "Ni", "Ni"], "fractional_positions": [[0.000, 0.779, 0.221], [0.500, 0.721, 0.721], [0.000, 0.221, 0.779], [0.500, 0.279, 0.279], [0.000, 0.500, 0.500], [0.500, 0.000, 0.000], [0.500, 0.584, 0.163], [0.000, 0.337, 0.084], [0.000, 0.084, 0.337], [0.500, 0.837, 0.416], [0.000, 0.916, 0.663], [0.000, 0.663, 0.916], [0.500, 0.416, 0.837], [0.500, 0.163, 0.584]], "density_g_cm3": 8.48, "magnetic_moment_mub_per_fu": 0.0, "energy_ev_per_atom": -14.7312}